Entry 1:
Cs4Zr6BBr17 after structural relaxation, computed with PBE.

Results
SG: P-42_1m, No. 113
Size of the total moment (μB per cell): 0.0
E (eV for the cell shown): -265.94

a = 12.8644 Å, b = 12.8644 Å, c = 11.8205 Å
α = 90.00°, β = 90.00°, γ = 90.00°
Last column: nearest neighbours and their distance in Å.
Atoms (fractional coordinates):
1 Cs 0.4790 0.7194 0.3392  3 Br 3.41-3.79
2 Cs 0.0210 0.2194 0.6608  3 Br 3.41-3.79
3 Cs 0.5210 0.2806 0.3392  3 Br 3.41-3.79
4 Cs 0.9790 0.7806 0.6608  3 Br 3.41-3.79
5 Cs 0.7194 0.5210 0.6608  3 Br 3.41-3.79
6 Cs 0.7806 0.0210 0.3392  3 Br 3.41-3.79
7 Cs 0.2806 0.4790 0.6608  3 Br 3.41-3.79
8 Cs 0.2194 0.9790 0.3392  3 Br 3.41-3.79
9 Zr 0.5920 0.9080 0.6973  1 B 2.36
10 Zr 0.9080 0.4080 0.3027  1 B 2.36
11 Zr 0.4080 0.0920 0.6973  1 B 2.36
12 Zr 0.0920 0.5920 0.3027  1 B 2.36
13 Zr 0.5920 0.9080 0.9782  1 B 2.35
14 Zr 0.9080 0.4081 0.0218  1 B 2.35
15 Zr 0.4081 0.0920 0.9782  1 B 2.35
16 Zr 0.0920 0.5920 0.0218  1 B 2.35
17 Zr 0.8711 0.6289 0.1593  1 B 2.34
18 Zr 0.6289 0.1289 0.8407  1 B 2.34
19 Zr 0.1289 0.3711 0.1593  1 B 2.34
20 Zr 0.3711 0.8711 0.8407  1 B 2.34
21 B 0.0000 0.5000 0.1617  6 Zr 2.34-2.36
22 B 0.5000 0.0000 0.8383  6 Zr 2.34-2.36
23 Br 0.0000 0.5000 0.8367  2 Zr 2.75
24 Br 0.5000 0.0000 0.1633  2 Zr 2.75
25 Br 0.7055 0.7945 0.1598  2 Zr 2.98-3.01
26 Br 0.7945 0.2945 0.8402  2 Zr 2.98-3.01
27 Br 0.2945 0.2055 0.1598  2 Zr 2.98-3.01
28 Br 0.2055 0.7055 0.8402  2 Zr 2.98-3.01
29 Br 0.4557 0.7479 0.6797  2 Zr 2.71
30 Br 0.0443 0.2479 0.3203  2 Zr 2.71
31 Br 0.5443 0.2521 0.6797  2 Zr 2.71
32 Br 0.9557 0.7521 0.3203  2 Zr 2.71
33 Br 0.7479 0.5443 0.3203  2 Zr 2.71
34 Br 0.7521 0.0443 0.6797  2 Zr 2.71
35 Br 0.2521 0.4557 0.3203  2 Zr 2.71
36 Br 0.2479 0.9557 0.6797  2 Zr 2.71
37 Br 0.7048 0.7952 0.5285  1 Zr 2.86
38 Br 0.7952 0.2952 0.4715  1 Zr 2.86
39 Br 0.2952 0.2048 0.5285  1 Zr 2.86
40 Br 0.2048 0.7048 0.4715  1 Zr 2.86
41 Br 0.0000 0.5000 0.4878  2 Zr 2.76
42 Br 0.5000 0.0000 0.5122  2 Zr 2.76
43 Br 0.4594 0.7461 0.9984  2 Zr 2.70-2.71
44 Br 0.0406 0.2461 0.0016  2 Zr 2.70-2.71
45 Br 0.5406 0.2539 0.9984  2 Zr 2.70-2.71
46 Br 0.9594 0.7539 0.0016  2 Zr 2.70-2.71
47 Br 0.7461 0.5406 0.0016  2 Zr 2.70-2.71
48 Br 0.7539 0.0406 0.9984  2 Zr 2.70-2.71
49 Br 0.2539 0.4594 0.0016  2 Zr 2.70-2.71
50 Br 0.2461 0.9594 0.9984  2 Zr 2.70-2.71
51 Br 0.7088 0.7912 0.8375  2 Zr 2.69-2.70
52 Br 0.7912 0.2912 0.1625  2 Zr 2.69-2.70
53 Br 0.2912 0.2088 0.8375  2 Zr 2.69-2.70
54 Br 0.2088 0.7088 0.1625  2 Zr 2.69-2.70
55 Br 0.5000 0.5000 0.5000  4 Cs 3.41
56 Br 0.0000 0.0000 0.5000  4 Cs 3.41

Entry 2:
Cu3B7BrO13 after structural relaxation, computed with PBE.

Results
SG: F-43c, No. 219
Size of the total moment (μB per cell): 6.0
E (eV for the cell shown): -340.39

a = 8.5416 Å, b = 8.5416 Å, c = 8.5416 Å
α = 60.00°, β = 60.00°, γ = 60.00°
Last column: nearest neighbours and their distance in Å.
Atoms (fractional coordinates):
1 Cu 0.0000 0.5000 0.5000  4 O 2.03
2 Cu 0.5000 0.0000 0.5000  4 O 2.03
3 Cu 0.5000 0.0000 0.0000  4 O 2.03
4 Cu 0.0000 0.0000 0.5000  4 O 2.03
5 Cu 0.0000 0.5000 0.0000  4 O 2.03
6 Cu 0.5000 0.5000 0.0000  4 O 2.03
7 B 0.7428 0.4191 0.4191  3 O 1.44
8 B 0.9191 0.2428 0.9191  3 O 1.44
9 B 0.9191 0.9191 0.9191  3 O 1.44
10 B 0.2500 0.7500 0.7500  4 O 1.47
11 B 0.7500 0.2500 0.7500  4 O 1.47
12 B 0.4191 0.4191 0.7428  3 O 1.44
13 B 0.2500 0.2500 0.7500  4 O 1.47
14 B 0.9191 0.9191 0.2428  3 O 1.44
15 B 0.7500 0.2500 0.2500  4 O 1.47
16 B 0.7500 0.7500 0.2500  4 O 1.47
17 B 0.4191 0.7428 0.4191  3 O 1.44
18 B 0.4191 0.4191 0.4191  3 O 1.44
19 B 0.2428 0.9191 0.9191  3 O 1.44
20 B 0.2500 0.7500 0.2500  4 O 1.47
21 Br 0.7500 0.7500 0.7500  6 Cu 3.02
22 Br 0.2500 0.2500 0.2500  6 Cu 3.02
23 O 0.5000 0.5000 0.5000  4 B 1.69
24 O 0.7963 0.2393 0.5641  2 B 1.44-1.47
25 O 0.4003 0.7963 0.5641  2 B 1.44-1.47
26 O 0.0000 0.0000 0.0000  4 B 1.69
27 O 0.5641 0.7963 0.2393  2 B 1.44-1.47
28 O 0.7963 0.5641 0.4003  2 B 1.44-1.47
29 O 0.7963 0.4003 0.2393  2 B 1.44-1.47
30 O 0.4003 0.2393 0.7963  2 B 1.44-1.47
31 O 0.2963 0.0641 0.7393  2 B 1.44-1.47
32 O 0.2963 0.7393 0.9003  2 B 1.44-1.47
33 O 0.2393 0.4003 0.5641  2 B 1.44-1.47
34 O 0.0641 0.9003 0.7393  2 B 1.44-1.47
35 O 0.9003 0.2963 0.7393  2 B 1.44-1.47
36 O 0.4003 0.5641 0.2393  2 B 1.44-1.47
37 O 0.5641 0.2393 0.4003  2 B 1.44-1.47
38 O 0.7393 0.0641 0.9003  2 B 1.44-1.47
39 O 0.7393 0.9003 0.2963  2 B 1.44-1.47
40 O 0.2393 0.7963 0.4003  2 B 1.44-1.47
41 O 0.9003 0.0641 0.2963  2 B 1.44-1.47
42 O 0.0641 0.2963 0.9003  2 B 1.44-1.47
43 O 0.2963 0.9003 0.0641  2 B 1.44-1.47
44 O 0.5641 0.4003 0.7963  2 B 1.44-1.47
45 O 0.9003 0.7393 0.0641  2 B 1.44-1.47
46 O 0.0641 0.7393 0.2963  2 B 1.44-1.47
47 O 0.7393 0.2963 0.0641  2 B 1.44-1.47
48 O 0.2393 0.5641 0.7963  2 B 1.44-1.47

Entry 3:
Eu2BBrN2 after structural relaxation, computed with PBE.

Results
SG: R-3m, No. 166
Size of the total moment (μB per cell): 14.0
E (eV for the cell shown): -53.91

a = 4.0595 Å, b = 4.0595 Å, c = 9.2183 Å
α = 77.28°, β = 77.28°, γ = 60.00°
Last column: nearest neighbours and their distance in Å.
Atoms (fractional coordinates):
1 Eu 0.7518 0.7518 0.7445  3 N 2.48
2 Eu 0.2482 0.2482 0.2555  3 N 2.48
3 B 0.5000 0.5000 0.5000  2 N 1.35
4 Br 0.0000 0.0000 0.0000  6 Eu 3.27
5 N 0.5506 0.5506 0.3481  1 B 1.35
6 N 0.4494 0.4494 0.6519  1 B 1.35

Entry 4:
Gd3BBr3 after structural relaxation, computed with PBE.

Results
SG: I4_132, No. 214
E (eV for the cell shown): -251.36

a = 9.8708 Å, b = 9.8708 Å, c = 9.8708 Å
α = 109.47°, β = 109.47°, γ = 109.47°
Last column: nearest neighbours and their distance in Å.
Atoms (fractional coordinates):
1 Gd 0.4605 0.4802 0.2302  2 B 2.63
2 Gd 0.7500 0.2302 0.2698  2 B 2.63
3 Gd 0.7500 0.0198 0.4802  2 B 2.63
4 Gd 0.2302 0.4605 0.4802  2 B 2.63
5 Gd 0.2698 0.7500 0.2302  2 B 2.63
6 Gd 0.0395 0.2698 0.0198  2 B 2.63
7 Gd 0.0198 0.0395 0.2698  2 B 2.63
8 Gd 0.4802 0.7500 0.0198  2 B 2.63
9 Gd 0.4802 0.2302 0.4605  2 B 2.63
10 Gd 0.0198 0.4802 0.7500  2 B 2.63
11 Gd 0.2698 0.0198 0.0395  2 B 2.63
12 Gd 0.2302 0.2698 0.7500  2 B 2.63
13 B 0.2500 0.2500 0.2500  6 Gd 2.63
14 B 0.5000 0.0000 0.2500  6 Gd 2.63
15 B 0.0000 0.2500 0.5000  6 Gd 2.63
16 B 0.2500 0.5000 0.0000  6 Gd 2.63
17 Br 0.2500 0.7579 0.7421  4 Gd 2.97-3.09
18 Br 0.5158 0.5079 0.7579  4 Gd 2.97-3.09
19 Br 0.9842 0.7421 0.9921  4 Gd 2.97-3.09
20 Br 0.7421 0.2500 0.7579  4 Gd 2.97-3.09
21 Br 0.9921 0.9842 0.7421  4 Gd 2.97-3.09
22 Br 0.2500 0.9921 0.5079  4 Gd 2.97-3.09
23 Br 0.7579 0.5158 0.5079  4 Gd 2.97-3.09
24 Br 0.5079 0.2500 0.9921  4 Gd 2.97-3.09
25 Br 0.7579 0.7421 0.2500  4 Gd 2.97-3.09
26 Br 0.7421 0.9921 0.9842  4 Gd 2.97-3.09
27 Br 0.9921 0.5079 0.2500  4 Gd 2.97-3.09
28 Br 0.5079 0.7579 0.5158  4 Gd 2.97-3.09

| no. | ΔE_f (eV/atom) |
| --- | --- |
| 1 | -1.8812 |
| 2 | -2.2547 |
| 3 | -1.5209 |
| 4 | -1.5177 |